Record 1
Computed, not measured: a geometry-optimized KLu3F10 structure at the PBE level of DFT.

Results
MP2020-corrected energy = -6.7292 eV/atom
Energy of formation = -4314 meV per atom
VASP energy = -179.18 eV per cell
V = 369.3 Å³/cell

```
data_KLu3F10
_symmetry_space_group_name_H-M 'P 1'
_symmetry_Int_Tables_number 1
_cell_length_a 8.053
_cell_length_b 8.053
_cell_length_c 8.053
_cell_angle_alpha 60.00
_cell_angle_beta 60.00
_cell_angle_gamma 60.00
loop_
_symmetry_equiv_pos_as_xyz
'x,y,z'
loop_
_atom_site_label
_atom_site_type_symbol
_atom_site_fract_x
_atom_site_fract_y
_atom_site_fract_z
Lu1 Lu 0.241 0.759 0.759
F1 F 0.500 0.170 0.500
K1 K 0.250 0.250 0.250
F2 F 0.500 0.830 0.500
Lu2 Lu 0.759 0.241 0.241
Lu3 Lu 0.241 0.759 0.241
F3 F 0.664 0.112 0.112
F4 F 0.830 0.500 0.170
F5 F 0.112 0.112 0.664
F6 F 0.336 0.888 0.888
F7 F 0.170 0.500 0.500
F8 F 0.500 0.500 0.170
K2 K 0.750 0.750 0.750
F9 F 0.112 0.112 0.112
F10 F 0.830 0.170 0.500
F11 F 0.170 0.500 0.830
Lu4 Lu 0.241 0.241 0.759
F12 F 0.888 0.888 0.336
Lu5 Lu 0.759 0.759 0.241
F13 F 0.170 0.830 0.500
F14 F 0.500 0.170 0.830
F15 F 0.830 0.500 0.500
F16 F 0.888 0.336 0.888
F17 F 0.888 0.888 0.888
F18 F 0.112 0.664 0.112
F19 F 0.500 0.830 0.170
Lu6 Lu 0.759 0.241 0.759
F20 F 0.500 0.500 0.830
```

Record 2
Computed, not measured: a geometry-optimized CaEuHf4O12 structure at the PBE level of DFT.

Results
MP2020-corrected energy = -9.4589 eV/atom
Energy of formation = -3266 meV per atom
Magnetic moment = 10.17 μB per cell
VASP energy = -162.02 eV per cell
V = 252.8 Å³/cell

```
data_CaEuHf4O12
_symmetry_space_group_name_H-M 'P 1'
_symmetry_Int_Tables_number 1
_cell_length_a 5.614
_cell_length_b 5.614
_cell_length_c 8.023
_cell_angle_alpha 90.00
_cell_angle_beta 90.00
_cell_angle_gamma 91.42
loop_
_symmetry_equiv_pos_as_xyz
'x,y,z'
loop_
_atom_site_label
_atom_site_type_symbol
_atom_site_fract_x
_atom_site_fract_y
_atom_site_fract_z
O1 O 0.197 0.198 0.249
O2 O 0.802 0.803 0.249
Hf1 Hf 0.001 0.501 0.251
Ca1 Ca 0.482 0.518 0.000
Hf2 Hf 0.001 0.501 0.749
O3 O 0.802 0.803 0.751
O4 O 0.696 0.304 0.196
O5 O 0.696 0.304 0.804
O6 O 0.061 0.550 0.000
Eu1 Eu 0.029 0.971 0.500
O7 O 0.549 0.061 0.500
O8 O 0.304 0.696 0.696
O9 O 0.197 0.198 0.751
O10 O 0.450 0.939 0.000
Hf3 Hf 0.499 0.999 0.749
O11 O 0.304 0.696 0.304
Hf4 Hf 0.499 0.999 0.251
O12 O 0.939 0.451 0.500
```

Record 3
Computed, not measured: a geometry-optimized NaHfScO4 structure at the PBE level of DFT.

Results
MP2020-corrected energy = -8.8947 eV/atom
Energy of formation = -3551 meV per atom
Magnetic moment = 0.00 μB per cell
VASP energy = -238.06 eV per cell
V = 345.8 Å³/cell

```
data_NaHfScO4
_symmetry_space_group_name_H-M 'P 1'
_symmetry_Int_Tables_number 1
_cell_length_a 3.187
_cell_length_b 9.596
_cell_length_c 11.309
_cell_angle_alpha 90.00
_cell_angle_beta 90.00
_cell_angle_gamma 90.00
loop_
_symmetry_equiv_pos_as_xyz
'x,y,z'
loop_
_atom_site_label
_atom_site_type_symbol
_atom_site_fract_x
_atom_site_fract_y
_atom_site_fract_z
O1 O 0.000 0.074 0.821
Hf1 Hf 0.000 0.580 0.855
Na1 Na 0.500 0.256 0.900
O2 O 0.500 0.927 0.674
Sc1 Sc 0.500 0.431 0.138
O3 O 0.000 0.481 0.531
O4 O 0.000 0.887 0.232
Sc2 Sc 0.500 0.421 0.643
Sc3 Sc 0.500 0.931 0.862
O5 O 0.500 0.022 0.036
Hf2 Hf 0.000 0.067 0.639
Na2 Na 0.000 0.743 0.599
O6 O 0.000 0.387 0.768
O7 O 0.000 0.290 0.097
O8 O 0.500 0.427 0.326
O9 O 0.000 0.574 0.179
O10 O 0.500 0.522 0.964
O11 O 0.500 0.203 0.597
O12 O 0.500 0.118 0.265
O13 O 0.000 0.981 0.469
O14 O 0.500 0.618 0.735
Sc4 Sc 0.500 0.921 0.357
Hf3 Hf 0.000 0.080 0.145
O15 O 0.500 0.703 0.403
Na3 Na 0.000 0.243 0.401
Hf4 Hf 0.000 0.567 0.361
Na4 Na 0.500 0.756 0.100
O16 O 0.000 0.790 0.903
```

Record 4
Computed, not measured: a geometry-optimized NaSrPrBiO6 structure at the PBE level of DFT.

Results
Energy relative to the lowest polymorph listed for this composition = 0.99 eV/f.u.
MP2020-corrected energy = -6.3407 eV/atom
Energy of formation = -2204 meV per atom
Magnetic moment = 1.00 μB per cell
VASP energy = -59.28 eV per cell
V = 172.6 Å³/cell

```
data_NaSrPrBiO6
_symmetry_space_group_name_H-M 'P 1'
_symmetry_Int_Tables_number 1
_cell_length_a 6.249
_cell_length_b 6.249
_cell_length_c 6.249
_cell_angle_alpha 60.00
_cell_angle_beta 60.00
_cell_angle_gamma 60.00
loop_
_symmetry_equiv_pos_as_xyz
'x,y,z'
loop_
_atom_site_label
_atom_site_type_symbol
_atom_site_fract_x
_atom_site_fract_y
_atom_site_fract_z
Pr1 Pr 0.500 0.500 0.500
Sr1 Sr 0.750 0.750 0.750
O1 O 0.238 0.238 0.762
O2 O 0.238 0.762 0.238
O3 O 0.762 0.762 0.238
O4 O 0.238 0.762 0.762
Na1 Na 0.250 0.250 0.250
O5 O 0.762 0.238 0.238
Bi1 Bi 0.000 0.000 0.000
O6 O 0.762 0.238 0.762
```

Record 5
Computed, not measured: a geometry-optimized CaMn4Al8 structure at the PBE level of DFT.

Results
Energy of formation = -268 meV per atom
Magnetic moment = 7.45 μB per cell
VASP energy = -72.11 eV per cell
V = 199.3 Å³/cell

```
data_CaMn4Al8
_symmetry_space_group_name_H-M 'P 1'
_symmetry_Int_Tables_number 1
_cell_length_a 6.721
_cell_length_b 6.721
_cell_length_c 6.721
_cell_angle_alpha 98.55
_cell_angle_beta 98.55
_cell_angle_gamma 134.64
loop_
_symmetry_equiv_pos_as_xyz
'x,y,z'
loop_
_atom_site_label
_atom_site_type_symbol
_atom_site_fract_x
_atom_site_fract_y
_atom_site_fract_z
Al1 Al 0.272 0.500 0.772
Mn1 Mn 0.500 0.500 0.500
Mn2 Mn 0.000 0.000 0.500
Al2 Al 0.000 0.667 0.667
Al3 Al 0.333 0.000 0.333
Mn3 Mn 0.000 0.500 0.000
Ca1 Ca 0.000 0.000 0.000
Al4 Al 0.000 0.333 0.333
Al5 Al 0.500 0.272 0.772
Al6 Al 0.667 0.000 0.667
Mn4 Mn 0.500 0.000 0.000
Al7 Al 0.500 0.728 0.228
Al8 Al 0.728 0.500 0.228
```

Record 6
Computed, not measured: a geometry-optimized La3BeGaS7 structure at the PBE level of DFT.

Results
Energy relative to the lowest polymorph listed for this composition = 0.00 eV/f.u.
MP2020-corrected energy = -6.1182 eV/atom
Energy of formation = -1907 meV per atom
Magnetic moment = 0.00 μB per cell
VASP energy = -139.79 eV per cell
V = 535.7 Å³/cell

```
data_La3BeGaS7
_symmetry_space_group_name_H-M 'P 1'
_symmetry_Int_Tables_number 1
_cell_length_a 10.257
_cell_length_b 10.257
_cell_length_c 5.879
_cell_angle_alpha 90.00
_cell_angle_beta 90.00
_cell_angle_gamma 120.00
loop_
_symmetry_equiv_pos_as_xyz
'x,y,z'
loop_
_atom_site_label
_atom_site_type_symbol
_atom_site_fract_x
_atom_site_fract_y
_atom_site_fract_z
S1 S 0.667 0.333 0.531
S2 S 0.140 0.216 0.747
Ga1 Ga 0.333 0.667 0.652
Be1 Be 0.000 0.000 0.001
S3 S 0.860 0.784 0.247
S4 S 0.487 0.587 0.501
S5 S 0.513 0.413 0.001
S6 S 0.784 0.925 0.747
La1 La 0.369 0.130 0.734
S7 S 0.100 0.513 0.501
S8 S 0.216 0.075 0.247
La2 La 0.870 0.239 0.734
La3 La 0.130 0.761 0.234
S9 S 0.925 0.140 0.247
S10 S 0.587 0.100 0.001
Ga2 Ga 0.667 0.333 0.152
La4 La 0.239 0.369 0.234
Be2 Be 0.000 0.000 0.501
La5 La 0.761 0.631 0.734
S11 S 0.413 0.900 0.501
S12 S 0.075 0.860 0.747
S13 S 0.900 0.487 0.001
La6 La 0.631 0.870 0.234
S14 S 0.333 0.667 0.031
```

| no. | calculated density (g/cm³) |
| --- | --- |
| 1 | 6.8 |
| 2 | 7.2 |
| 3 | 6.0 |
| 4 | 5.4 |
| 5 | 4.0 |
| 6 | 4.5 |